Below is crystalline TlFe2S3 at its relaxed geometry, with properties calculated at the PBE level.

Its crystal system is orthorhombic. Its formation enthalpy at 0 K is -656 meV per atom. The calculation puts the final energy at -136.6 eV for the cell shown.

The structure belongs to space group Cmcm (No. 63); the cell edges are 8.9273, 10.8068 and 5.1488 Å and the angles 90.00°, 90.00° and 90.00°. The asymmetric unit holds Tl at (0.0000, 0.1584, 0.2500), Fe at (0.1424, 0.5000, 0.0000), S at (0.0000, 0.3877, 0.7500) and S at (0.2244, 0.1110, 0.7500).